(1)
## YSn2 (meta-GGA r2SCAN)

Data for YSn2 after structural relaxation.

extended XYZ file:
```
6
Lattice="-1.5152 -3.9228 -0.9952 3.6190 -1.8316 1.7099 -5.5332 0.4709 6.5681" Properties=species:S:1:pos:R:3 pbc="T T T"
Sn -2.2514 -1.2065 3.4923
Sn -4.4128 -3.3315 5.7771
Sn 0.9838 -1.9519 1.5050
Sn -1.1783 -4.0771 3.7914
Y -1.5448 -2.2507 6.5327
Y -1.8846 -3.0328 0.7503
```


(2)
## Y11Sn10 (meta-GGA r2SCAN)

Data for Y11Sn10 after structural relaxation.

extended XYZ file:
```
42
Lattice="5.4555 4.0025 -9.4508 8.8532 -7.2498 2.0401 -10.9849 -4.3933 -1.0533" Properties=species:S:1:pos:R:3 pbc="T T T"
Sn 5.0987 -1.4327 -7.7580
Sn 4.2026 -6.2601 -7.3723
Sn 5.7079 -4.6742 1.3153
Sn 6.7202 -0.1878 -5.1727
Sn -1.7749 -6.2081 -0.7058
Sn -0.8788 -1.3803 -1.0916
Sn -0.1934 -10.2208 -2.3706
Sn -3.3966 -7.4531 -3.2915
Sn 6.4999 -6.0728 -3.0192
Sn 2.8483 -3.0826 -3.8607
Sn 3.1453 -2.5757 0.7248
Sn 8.7489 -4.4218 -6.9169
Sn -5.6571 -5.6020 -3.8124
Sn 2.5114 -6.6332 -1.3595
Sn 0.4756 -4.5581 -4.6035
Sn 8.9806 -2.0388 -4.6518
Sn -3.1763 -1.5676 -5.4450
Sn 3.5171 2.5802 -6.0935
Sn -5.4255 -3.2187 -1.5470
Sn 0.8123 -1.0073 -7.1045
Y -1.2567 -3.4783 -6.9073
Y 8.1750 -1.5253 -7.7851
Y 0.7792 -4.1001 -1.2868
Y -2.5804 -4.0532 -3.2057
Y 3.4603 -0.4554 -5.3425
Y 0.6900 -8.3601 0.4082
Y 5.1766 -7.7011 -0.2734
Y -0.1366 -7.1852 -3.1216
Y 8.2585 -5.2807 0.0290
Y 9.2943 -5.2328 -3.9981
Y -4.8513 -6.1153 -0.6790
Y -4.9347 -2.3598 -8.4930
Y 5.9040 -3.5875 -5.2583
Y -1.8529 0.0606 -8.1906
Y 2.6338 0.7196 -8.8721
Y -5.9706 -2.4078 -4.4660
Y 4.5804 -4.1623 -1.5568
Y 3.4000 -6.3716 -4.2860
Y 0.8197 -7.0720 -7.1669
Y 2.5041 -0.5684 -1.2970
Y -0.0763 -1.2689 -4.1781
Y 2.5446 -3.5405 -7.1772
```


Energy of formation from the pure elements across the listed records, respectively: -0.642, -0.866 eV per atom.